Entry from the Materials Project: NaYSe2O6 after structural relaxation (r²SCAN).

- Space group: Pna2_1
- DFT formation energy: -19.3 eV per formula unit
- Calculated total energy: -430.460 eV/cell
- V: 14.615 Å³ per atom

a = 5.396 Å, b = 8.533 Å, c = 12.696 Å
α = 90.00°, β = 90.00°, γ = 90.00°
Fractional coordinates of all 40 atoms:
Na1 0.795 0.990 0.618
Na2 0.795 0.510 0.118
Na3 0.295 0.010 0.382
Na4 0.295 0.490 0.882
Y1 0.241 0.176 0.084
Y2 0.741 0.824 0.916
Y3 0.741 0.676 0.416
Y4 0.241 0.324 0.584
Se1 0.749 0.969 0.202
Se2 0.249 0.469 0.298
Se3 0.796 0.266 0.417
Se4 0.296 0.734 0.583
Se5 0.749 0.531 0.702
Se6 0.296 0.766 0.083
Se7 0.249 0.031 0.798
Se8 0.796 0.234 0.917
O1 0.995 0.148 0.484
O2 0.061 0.870 0.800
O3 0.194 0.096 0.674
O4 0.380 0.565 0.516
O5 0.018 0.781 0.529
O6 0.495 0.852 0.516
O7 0.540 0.546 0.284
O8 0.061 0.630 0.300
O9 0.018 0.719 0.029
O10 0.694 0.904 0.326
O11 0.040 0.046 0.216
O12 0.518 0.219 0.471
O13 0.694 0.596 0.826
O14 0.194 0.404 0.174
O15 0.995 0.352 0.984
O16 0.380 0.935 0.016
O17 0.561 0.370 0.700
O18 0.880 0.435 0.484
O19 0.495 0.648 0.016
O20 0.040 0.454 0.716
O21 0.561 0.130 0.200
O22 0.540 0.954 0.784
O23 0.518 0.281 0.971
O24 0.880 0.065 0.984